<one>
Dy2Te4O11 | PBE | optimized geometry

a = 12.500 Å, b = 5.177 Å, c = 16.307 Å
α = 90.00°, β = 105.34°, γ = 90.00°
Space group C2/c (No. 15)
Inequivalent atoms, fractional coordinates:
Dy1 0.119 0.250 0.037 [8 per cell]
Te1 0.122 0.222 0.698 [8 per cell]
Te2 0.128 0.218 0.375 [8 per cell]
O1 0.000 0.355 0.750 [4 per cell]
O2 0.024 0.078 0.596 [8 per cell]
O3 0.069 0.393 0.455 [8 per cell]
O4 0.149 0.443 0.167 [8 per cell]
O5 0.208 0.045 0.948 [8 per cell]
O6 0.247 0.063 0.628 [8 per cell]


<two>
Dy2Te4O11 | PBE | optimized geometry

a = 5.176 Å, b = 6.763 Å, c = 16.067 Å
α = 80.00°, β = 80.73°, γ = 67.50°
Space group P1 (No. 1)
Inequivalent atoms, fractional coordinates:
Dy1 0.000 0.000 0.000 [1 per cell]
Dy2 0.222 0.090 0.433 [1 per cell]
Dy3 0.481 0.503 0.500 [1 per cell]
Dy4 0.737 0.586 0.933 [1 per cell]
Te1 0.194 0.411 0.087 [1 per cell]
Te2 0.216 0.750 0.768 [1 per cell]
Te3 0.509 0.848 0.161 [1 per cell]
Te4 0.514 0.168 0.842 [1 per cell]
Te5 0.751 0.258 0.270 [1 per cell]
Te6 0.767 0.904 0.593 [1 per cell]
Te7 0.961 0.665 0.341 [1 per cell]
Te8 0.963 0.337 0.660 [1 per cell]
O1 0.018 0.328 0.017 [1 per cell]
O2 0.045 0.928 0.333 [1 per cell]
O3 0.120 0.822 0.520 [1 per cell]
O4 0.155 0.933 0.132 [1 per cell]
O5 0.165 0.423 0.838 [1 per cell]
O6 0.195 0.468 0.424 [1 per cell]
O7 0.211 0.042 0.719 [1 per cell]
O8 0.282 0.425 0.629 [1 per cell]
O9 0.310 0.601 0.011 [1 per cell]
O10 0.411 0.960 0.924 [1 per cell]
O11 0.455 0.155 0.298 [1 per cell]
O12 0.497 0.555 0.217 [1 per cell]
O13 0.537 0.102 0.511 [1 per cell]
O14 0.558 0.146 0.094 [1 per cell]
O15 0.570 0.664 0.796 [1 per cell]
O16 0.608 0.760 0.414 [1 per cell]
O17 0.681 0.648 0.590 [1 per cell]
O18 0.687 0.251 0.914 [1 per cell]
O19 0.757 0.733 0.064 [1 per cell]
O20 0.798 0.331 0.373 [1 per cell]
O21 0.918 0.252 0.561 [1 per cell]
O22 0.971 0.830 0.868 [1 per cell]


Stability check: which of them is least stable? <two>.


<one>
LiCuPO4 | PBE | optimized geometry

a = 9.830 Å, b = 4.943 Å, c = 14.003 Å
α = 90.00°, β = 90.00°, γ = 90.00°
Space group Pca2_1 (No. 29)
Inequivalent atoms, fractional coordinates:
Li1 0.033 0.053 0.000 [4 per cell]
Li2 0.220 0.561 0.251 [4 per cell]
Cu1 0.026 0.946 0.748 [4 per cell]
Cu2 0.227 0.545 0.001 [4 per cell]
P1 0.032 0.441 0.625 [4 per cell]
P2 0.215 0.069 0.375 [4 per cell]
O1 0.010 0.128 0.624 [4 per cell]
O2 0.032 0.442 0.033 [4 per cell]
O3 0.033 0.441 0.216 [4 per cell]
O4 0.058 0.018 0.374 [4 per cell]
O5 0.186 0.512 0.626 [4 per cell]
O6 0.225 0.943 0.783 [4 per cell]
O7 0.226 0.943 0.968 [4 per cell]
O8 0.247 0.377 0.376 [4 per cell]


<two>
LiCuPO4 | PBE | optimized geometry

a = 5.211 Å, b = 6.249 Å, c = 10.506 Å
α = 89.83°, β = 89.40°, γ = 89.84°
Space group P1 (No. 1)
Inequivalent atoms, fractional coordinates:
Li1 0.000 0.000 0.000 [1 per cell]
Li2 0.001 0.454 0.005 [1 per cell]
Li3 0.372 0.988 0.327 [1 per cell]
Li4 0.528 0.457 0.837 [1 per cell]
Cu1 0.400 0.727 0.082 [1 per cell]
Cu2 0.470 0.724 0.588 [1 per cell]
Cu3 0.884 0.455 0.494 [1 per cell]
Cu4 0.908 0.980 0.506 [1 per cell]
P1 0.006 0.726 0.765 [1 per cell]
P2 0.388 0.228 0.594 [1 per cell]
P3 0.511 0.225 0.093 [1 per cell]
P4 0.878 0.727 0.253 [1 per cell]
O1 0.087 0.230 0.574 [1 per cell]
O2 0.307 0.705 0.751 [1 per cell]
O3 0.386 0.020 0.028 [1 per cell]
O4 0.393 0.429 0.020 [1 per cell]
O5 0.431 0.230 0.231 [1 per cell]
O6 0.467 0.226 0.729 [1 per cell]
O7 0.486 0.025 0.516 [1 per cell]
O8 0.494 0.433 0.519 [1 per cell]
O9 0.582 0.751 0.248 [1 per cell]
O10 0.801 0.225 0.067 [1 per cell]
O11 0.894 0.528 0.830 [1 per cell]
O12 0.905 0.727 0.617 [1 per cell]
O13 0.934 0.934 0.828 [1 per cell]
O14 0.955 0.519 0.324 [1 per cell]
O15 0.992 0.725 0.116 [1 per cell]
O16 0.996 0.916 0.331 [1 per cell]


<three>
LiCuPO4 | PBE | optimized geometry

a = 8.261 Å, b = 7.436 Å, c = 17.060 Å
α = 90.00°, β = 116.85°, γ = 90.00°
Space group P2_1/c (No. 14)
Inequivalent atoms, fractional coordinates:
Li1 0.040 0.232 0.420 [4 per cell]
Li2 0.320 0.224 0.228 [4 per cell]
Li3 0.361 0.739 0.410 [4 per cell]
Cu1 0.009 0.107 0.243 [4 per cell]
Cu2 0.283 0.516 0.561 [4 per cell]
Cu3 0.339 0.527 0.088 [4 per cell]
P1 0.026 0.681 0.929 [4 per cell]
P2 0.314 0.686 0.730 [4 per cell]
P3 0.369 0.179 0.908 [4 per cell]
O1 0.067 0.686 0.506 [4 per cell]
O2 0.095 0.736 0.365 [4 per cell]
O3 0.129 0.718 0.207 [4 per cell]
O4 0.140 0.507 0.965 [4 per cell]
O5 0.179 0.136 0.621 [4 per cell]
O6 0.237 0.235 0.320 [4 per cell]
O7 0.257 0.512 0.671 [4 per cell]
O8 0.261 0.131 0.960 [4 per cell]
O9 0.418 0.635 0.827 [4 per cell]
O10 0.425 0.693 0.199 [4 per cell]
O11 0.448 0.002 0.889 [4 per cell]
O12 0.471 0.691 0.037 [4 per cell]


Stability check: which of them is least stable? <two>.


<one>
Li3CuF6 | PBE | optimized geometry

a = 8.5082 Å, b = 8.5082 Å, c = 10.0829 Å
α = 90.00°, β = 90.00°, γ = 120.00°
Space group R-3 (No. 148, hexagonal axes)
Inequivalent atoms, fractional coordinates:
Li1 0.0428 0.2664 0.2082 [18 per cell]
Cu1 0.0000 0.0000 0.0000 [3 per cell]
Cu2 0.0000 0.0000 0.5000 [3 per cell]
F1 0.0224 0.1871 0.8820 [18 per cell]
F2 0.0276 0.2026 0.3976 [18 per cell]


<two>
Li3CuF6 | PBE | optimized geometry

a = 5.036 Å, b = 5.205 Å, c = 9.044 Å
α = 90.00°, β = 123.34°, γ = 90.00°
Space group P2_1/c (No. 14)
Inequivalent atoms, fractional coordinates:
Li1 0.000 0.000 0.000 [2 per cell]
Li2 0.234 0.046 0.743 [4 per cell]
Cu1 0.500 0.000 0.500 [2 per cell]
F1 0.119 0.179 0.437 [4 per cell]
F2 0.250 0.691 0.421 [4 per cell]
F3 0.402 0.074 0.264 [4 per cell]


Stability check: which of them is least stable? <two>.